# BaCaSi PBE-GGA relaxed
data_BaCaSi
_chemical_formula_sum 'Ba4 Ca4 Si4'
_cell_length_a 8.5778
_cell_length_b 5.0725
_cell_length_c 9.1907
_cell_angle_alpha 90.00
_cell_angle_beta 90.00
_cell_angle_gamma 90.00
_space_group_name_H-M_alt 'P 1'
_space_group_IT_number 1
_space_group_name_Hall 'P 1'
loop_
_atom_site_label
_atom_site_fract_x
_atom_site_fract_y
_atom_site_fract_z
_atom_site_occupancy
Ba1 0.0285 0.2500 0.1757 1
Ba2 0.4715 0.7500 0.6757 1
Ba3 0.5285 0.2500 0.3243 1
Ba4 0.9715 0.7500 0.8243 1
Ca1 0.1414 0.2500 0.5742 1
Ca2 0.3586 0.7500 0.0742 1
Ca3 0.6414 0.2500 0.9258 1
Ca4 0.8586 0.7500 0.4258 1
Si1 0.2184 0.7500 0.3914 1
Si2 0.2816 0.2500 0.8914 1
Si3 0.7184 0.7500 0.1086 1
Si4 0.7816 0.2500 0.6086 1
# energy of formation: -0.39 eV/atom
# symmetry: No. 62
# theoretical density: 3.41 g cm⁻³
# uncorrected energy: -0.1299 Ha/atom
# energy relative to the lowest polymorph listed for this composition: 0.000 eV/atom
# E (MP2020): -42.12 eV per cell